# 1
# HfIN

Crystalline HfIN at its relaxed geometry (r2SCAN, Materials Project).

SG ... R-3m, No. 166
Calculated volume ... 21.2 A^3/atom
Electronic total energy ... -27.927 eV/atom
Size of the total moment ... 0.000 μB per atom

a b c (Å): 10.9875 10.9875 10.9875
angles (deg): 19.35 19.35 19.35
Atoms (fractional coordinates):
Hf 0.2056 0.2056 0.2056
Hf 0.7944 0.7944 0.7944
I 0.3930 0.3930 0.3930
I 0.6070 0.6070 0.6070
N 0.1399 0.1399 0.1399
N 0.8601 0.8601 0.8601

# 2
# Hf2In5

Crystalline Hf2In5 at its relaxed geometry (r2SCAN, Materials Project).

SG ... P4/mbm, No. 127
Calculated volume ... 23.2 A^3/atom
Electronic total energy ... -29.274 eV/atom
Size of the total moment ... 0.000 μB per atom

a b c (Å): 10.3084 10.3084 3.0574
angles (deg): 90.00 90.00 90.00
Atoms (fractional coordinates):
Hf 0.1798 0.3202 0.0000
Hf 0.3202 0.8202 0.0000
Hf 0.6798 0.1798 0.0000
Hf 0.8202 0.6798 0.0000
In 0.0000 0.5000 0.5000
In 0.0619 0.7908 0.5000
In 0.2092 0.0619 0.5000
In 0.2908 0.5619 0.5000
In 0.4381 0.2908 0.5000
In 0.5000 0.0000 0.5000
In 0.5619 0.7092 0.5000
In 0.7092 0.4381 0.5000
In 0.7908 0.9381 0.5000
In 0.9381 0.2092 0.5000

# 3
# Hf5In4Rh2

Crystalline Hf5In4Rh2 at its relaxed geometry (r2SCAN, Materials Project).

SG ... Pbam, No. 55
Calculated volume ... 20.0 A^3/atom
Electronic total energy ... -33.683 eV/atom
Size of the total moment ... 0.000 μB per atom

a b c (Å): 7.5531 17.3647 3.3543
angles (deg): 90.00 90.00 90.00
Atoms (fractional coordinates):
Hf 0.0000 0.0000 0.0000
Hf 0.1411 0.4191 0.0000
Hf 0.2346 0.7229 0.0000
Hf 0.2654 0.2229 0.0000
Hf 0.3589 0.9191 0.0000
Hf 0.5000 0.5000 0.0000
Hf 0.6411 0.0809 0.0000
Hf 0.7346 0.7771 0.0000
Hf 0.7654 0.2771 0.0000
Hf 0.8589 0.5809 0.0000
In 0.0558 0.8511 0.5000
In 0.1966 0.5668 0.5000
In 0.3034 0.0668 0.5000
In 0.4442 0.3511 0.5000
In 0.5558 0.6489 0.5000
In 0.6966 0.9332 0.5000
In 0.8034 0.4332 0.5000
In 0.9442 0.1489 0.5000
Rh 0.0549 0.3068 0.5000
Rh 0.4451 0.8068 0.5000
Rh 0.5549 0.1932 0.5000
Rh 0.9451 0.6932 0.5000

# 4
# HfInRh2

Crystalline HfInRh2 at its relaxed geometry (r2SCAN, Materials Project).

SG ... Fm-3m, No. 225
Calculated volume ... 16.7 A^3/atom
Electronic total energy ... -29.854 eV/atom
Size of the total moment ... 0.003 μB per atom

a b c (Å): 4.5506 4.5506 4.5506
angles (deg): 60.00 60.00 60.00
Atoms (fractional coordinates):
Hf 0.0000 0.0000 0.0000
In 0.5000 0.5000 0.5000
Rh 0.2500 0.2500 0.2500
Rh 0.7500 0.7500 0.7500

# 5
# HfIr3

Crystalline HfIr3 at its relaxed geometry (r2SCAN, Materials Project).

SG ... Pm-3m, No. 221
Calculated volume ... 15.3 A^3/atom
Electronic total energy ... -51.453 eV/atom
Size of the total moment ... 0.000 μB per atom

a b c (Å): 3.9431 3.9431 3.9431
angles (deg): 90.00 90.00 90.00
Atoms (fractional coordinates):
Hf 0.0000 0.0000 0.0000
Ir 0.0000 0.5000 0.5000
Ir 0.5000 0.0000 0.5000
Ir 0.5000 0.5000 0.0000

# 6
# Hf2MnIr

Crystalline Hf2MnIr at its relaxed geometry (r2SCAN, Materials Project).

SG ... Fm-3m, No. 225
Calculated volume ... 16.4 A^3/atom
Electronic total energy ... -40.024 eV/atom
Size of the total moment ... 0.000 μB per atom

a b c (Å): 4.5271 4.5271 4.5271
angles (deg): 60.00 60.00 60.00
Atoms (fractional coordinates):
Hf 0.2500 0.2500 0.2500
Hf 0.7500 0.7500 0.7500
Mn 0.0000 0.0000 0.0000
Ir 0.5000 0.5000 0.5000

# 7
# Hf2NiIr

Crystalline Hf2NiIr at its relaxed geometry (r2SCAN, Materials Project).

SG ... Fm-3m, No. 225
Calculated volume ... 16.6 A^3/atom
Electronic total energy ... -39.420 eV/atom
Size of the total moment ... 0.000 μB per atom

a b c (Å): 4.5471 4.5471 4.5471
angles (deg): 60.00 60.00 60.00
Atoms (fractional coordinates):
Hf 0.2500 0.2500 0.2500
Hf 0.7500 0.7500 0.7500
Ni 0.0000 0.0000 0.0000
Ir 0.5000 0.5000 0.5000

# 8
# HfSnIr

Crystalline HfSnIr at its relaxed geometry (r2SCAN, Materials Project).

SG ... P-62m, No. 189
Calculated volume ... 18.9 A^3/atom
Electronic total energy ... -41.524 eV/atom
Size of the total moment ... 0.000 μB per atom

a b c (Å): 7.2970 7.2970 3.6968
angles (deg): 90.00 90.00 120.00
Atoms (fractional coordinates):
Hf 0.0000 0.6056 0.0000
Hf 0.3944 0.3944 0.0000
Hf 0.6056 0.0000 0.0000
Sn 0.0000 0.2676 0.5000
Sn 0.2676 0.0000 0.5000
Sn 0.7324 0.7324 0.5000
Ir 0.0000 0.0000 0.0000
Ir 0.3333 0.6667 0.5000
Ir 0.6667 0.3333 0.5000